meta-GGA r2SCAN Rb2PdSe16, optimized geometry; space-group type = No. 117; formation enthalpy at 0 K = -6.08 eV/f.u.; raw total energy = -15.05 eV per atom
1.0
12.824 0.000 0.000
0.000 12.824 0.000
0.000 0.000 7.039
Rb Pd Se
4 2 32
Direct
0.500 0.000 0.000 Rb
0.000 0.500 0.000 Rb
0.500 0.500 0.500 Rb
0.000 0.000 0.500 Rb
0.000 0.000 0.000 Pd
0.500 0.500 0.000 Pd
0.191 0.422 0.587 Se
0.809 0.578 0.587 Se
0.578 0.191 0.413 Se
0.422 0.809 0.413 Se
0.309 0.922 0.587 Se
0.078 0.309 0.413 Se
0.813 0.966 0.967 Se
0.034 0.813 0.033 Se
0.966 0.187 0.033 Se
0.187 0.034 0.967 Se
0.534 0.687 0.033 Se
0.466 0.313 0.033 Se
0.687 0.466 0.967 Se
0.313 0.534 0.967 Se
0.790 0.204 0.128 Se
0.796 0.790 0.872 Se
0.204 0.210 0.872 Se
0.210 0.796 0.128 Se
0.296 0.710 0.872 Se
0.704 0.290 0.872 Se
0.710 0.704 0.128 Se
0.290 0.296 0.128 Se
0.920 0.309 0.589 Se
0.691 0.920 0.411 Se
0.309 0.080 0.411 Se
0.080 0.691 0.589 Se
0.191 0.580 0.411 Se
0.809 0.420 0.411 Se
0.580 0.809 0.589 Se
0.420 0.191 0.589 Se
0.691 0.078 0.587 Se
0.922 0.691 0.413 Se

meta-GGA r2SCAN EuHg3, optimized geometry; space-group type = No. 63; formation enthalpy at 0 K = -1.89 eV/f.u.; raw total energy = -47.13 eV per atom
1.0
0.000 0.000 -5.170
-3.416 -5.918 0.000
-3.416 5.918 0.000
Eu Hg
2 6
Direct
0.750 0.667 0.333 Eu
0.250 0.333 0.667 Eu
0.750 0.160 0.320 Hg
0.750 0.160 0.840 Hg
0.750 0.680 0.840 Hg
0.250 0.840 0.680 Hg
0.250 0.840 0.160 Hg
0.250 0.320 0.160 Hg

meta-GGA r2SCAN V2Cu2O7, optimized geometry; space-group type = No. 43; formation enthalpy at 0 K = -20.46 eV/f.u.; raw total energy = -10.19 eV per atom; ΔE to the lowest computed polymorph = 6.7 meV per atom
1.0
0.000 4.340 10.204
3.188 0.000 10.203
3.189 4.340 0.000
V Cu O
4 4 14
Direct
0.188 0.412 0.617 V
0.783 0.617 0.412 V
0.633 0.467 0.062 V
0.837 0.062 0.468 V
0.715 0.959 0.033 Cu
0.294 0.032 0.959 Cu
0.218 0.956 0.535 Cu
0.291 0.536 0.957 Cu
0.898 0.602 0.602 O
0.648 0.352 0.352 O
0.393 0.285 0.297 O
0.025 0.297 0.285 O
0.953 0.225 0.857 O
0.965 0.857 0.225 O
0.084 0.631 0.799 O
0.486 0.799 0.631 O
0.078 0.920 0.527 O
0.474 0.528 0.920 O
0.723 0.776 0.172 O
0.330 0.172 0.776 O
0.619 0.166 0.764 O
0.451 0.764 0.166 O

meta-GGA r2SCAN Tm2GeO5, optimized geometry; space-group type = No. 15; formation enthalpy at 0 K = -26.02 eV/f.u.; raw total energy = -17.50 eV per atom; ΔE to the lowest computed polymorph = 6.6 meV per atom
1.0
3.360 7.361 -0.008
-3.360 7.361 -0.008
0.000 5.418 8.692
Tm Ge O
8 4 20
Direct
0.724 0.207 0.465 Tm
0.267 0.005 0.163 Tm
0.995 0.733 0.337 Tm
0.793 0.276 0.035 Tm
0.207 0.724 0.965 Tm
0.005 0.267 0.663 Tm
0.733 0.995 0.837 Tm
0.276 0.793 0.535 Tm
0.410 0.218 0.310 Ge
0.218 0.410 0.810 Ge
0.782 0.590 0.190 Ge
0.590 0.782 0.690 Ge
0.082 0.883 0.399 O
0.221 0.369 0.450 O
0.918 0.314 0.176 O
0.686 0.082 0.324 O
0.631 0.779 0.050 O
0.117 0.918 0.101 O
0.350 0.039 0.325 O
0.421 0.414 0.133 O
0.586 0.579 0.367 O
0.961 0.650 0.175 O
0.039 0.350 0.825 O
0.414 0.421 0.633 O
0.579 0.586 0.867 O
0.650 0.961 0.675 O
0.883 0.082 0.899 O
0.369 0.221 0.950 O
0.314 0.918 0.676 O
0.082 0.686 0.824 O
0.779 0.631 0.550 O
0.918 0.117 0.601 O

meta-GGA r2SCAN Rb3SmCl6, optimized geometry; space-group type = No. 15; formation enthalpy at 0 K = -23.67 eV/f.u.; raw total energy = -13.21 eV per atom
1.0
6.108 -4.047 -11.450
10.182 2.273 -8.715
8.823 -7.916 5.149
Rb Sm Cl
12 4 24
Direct
0.299 0.806 0.063 Rb
0.701 0.194 0.937 Rb
0.194 0.701 0.437 Rb
0.806 0.299 0.563 Rb
0.470 0.837 0.355 Rb
0.530 0.163 0.645 Rb
0.163 0.530 0.145 Rb
0.837 0.470 0.855 Rb
0.655 0.020 0.303 Rb
0.345 0.980 0.697 Rb
0.980 0.345 0.197 Rb
0.020 0.655 0.803 Rb
0.798 0.202 0.250 Sm
0.202 0.798 0.750 Sm
0.500 0.000 0.000 Sm
0.000 0.500 0.500 Sm
0.626 0.714 0.078 Cl
0.374 0.286 0.922 Cl
0.286 0.374 0.422 Cl
0.714 0.626 0.578 Cl
0.512 0.361 0.177 Cl
0.488 0.639 0.823 Cl
0.639 0.488 0.323 Cl
0.361 0.512 0.677 Cl
0.791 0.859 0.034 Cl
0.209 0.141 0.966 Cl
0.141 0.209 0.466 Cl
0.859 0.791 0.534 Cl
0.884 0.991 0.708 Cl
0.116 0.009 0.292 Cl
0.009 0.116 0.792 Cl
0.991 0.884 0.208 Cl
0.730 0.158 0.443 Cl
0.270 0.842 0.557 Cl
0.842 0.270 0.057 Cl
0.158 0.730 0.943 Cl
0.362 0.139 0.192 Cl
0.638 0.861 0.808 Cl
0.861 0.638 0.308 Cl
0.139 0.362 0.692 Cl

meta-GGA r2SCAN MnGaPt, optimized geometry; space-group type = No. 194; formation enthalpy at 0 K = -2.14 eV/f.u.; raw total energy = -26.59 eV per atom
1.0
2.162 -3.745 0.000
2.162 3.745 0.000
0.000 0.000 5.586
Mn Ga Pt
2 2 2
Direct
0.000 0.000 0.000 Mn
0.000 0.000 0.500 Mn
0.333 0.667 0.750 Ga
0.667 0.333 0.250 Ga
0.667 0.333 0.750 Pt
0.333 0.667 0.250 Pt

meta-GGA r2SCAN Rb2Re3Se6, optimized geometry; space-group type = No. 15; formation enthalpy at 0 K = -8.71 eV/f.u.; raw total energy = -25.42 eV per atom
1.0
8.096 -3.080 5.496
8.418 5.842 0.496
-4.371 5.874 10.201
Rb Re Se
8 12 24
Direct
0.618 0.382 0.250 Rb
0.382 0.618 0.750 Rb
0.221 0.779 0.250 Rb
0.779 0.221 0.750 Rb
0.363 0.860 0.981 Rb
0.140 0.637 0.519 Rb
0.637 0.140 0.019 Rb
0.860 0.363 0.481 Rb
0.682 0.997 0.478 Re
0.003 0.318 0.022 Re
0.318 0.003 0.522 Re
0.997 0.682 0.978 Re
0.537 0.884 0.377 Re
0.116 0.463 0.123 Re
0.463 0.116 0.623 Re
0.884 0.537 0.877 Re
0.401 0.176 0.417 Re
0.824 0.599 0.083 Re
0.599 0.824 0.583 Re
0.176 0.401 0.917 Re
0.737 0.935 0.673 Se
0.065 0.263 0.827 Se
0.263 0.065 0.327 Se
0.935 0.737 0.173 Se
0.283 0.197 0.061 Se
0.803 0.717 0.439 Se
0.717 0.803 0.939 Se
0.197 0.283 0.561 Se
0.384 0.949 0.718 Se
0.051 0.616 0.782 Se
0.616 0.051 0.282 Se
0.949 0.384 0.218 Se
0.457 0.719 0.482 Se
0.281 0.543 0.018 Se
0.543 0.281 0.518 Se
0.719 0.457 0.982 Se
0.004 0.928 0.922 Se
0.072 0.996 0.578 Se
0.996 0.072 0.078 Se
0.928 0.004 0.422 Se
0.574 0.729 0.202 Se
0.271 0.426 0.298 Se
0.426 0.271 0.798 Se
0.729 0.574 0.702 Se

meta-GGA r2SCAN PH2F3, optimized geometry; space-group type = No. 36; formation enthalpy at 0 K = -10.05 eV/f.u.; raw total energy = -5.89 eV per atom
1.0
4.843 -0.046 0.000
-1.642 4.557 0.000
0.000 0.000 6.036
P H F
2 4 6
Direct
0.685 0.315 0.250 P
0.315 0.685 0.750 P
0.834 0.614 0.270 H
0.166 0.386 0.770 H
0.386 0.166 0.270 H
0.614 0.834 0.770 H
0.642 0.358 0.981 F
0.726 0.274 0.517 F
0.123 0.877 0.696 F
0.877 0.123 0.196 F
0.274 0.726 0.017 F
0.358 0.642 0.481 F

meta-GGA r2SCAN YbGdAg2, optimized geometry; space-group type = No. 225; formation enthalpy at 0 K = -1.19 eV/f.u.; raw total energy = -30.96 eV per atom
1.0
-1.559 -3.990 2.758
-4.285 -2.450 -1.262
0.234 -4.698 -1.958
Yb Gd Ag
1 1 2
Direct
0.000 0.000 0.000 Yb
0.500 0.500 0.500 Gd
0.750 0.750 0.750 Ag
0.250 0.250 0.250 Ag

meta-GGA r2SCAN Ho6Nb4Al43, optimized geometry; space-group type = No. 193; formation enthalpy at 0 K = -19.15 eV/f.u.; raw total energy = -11.41 eV per atom
1.0
5.510 -9.544 0.000
5.510 9.544 0.000
0.000 0.000 17.730
Ho Nb Al
12 8 86
Direct
0.531 0.000 0.596 Ho
0.469 0.000 0.404 Ho
0.000 0.531 0.596 Ho
0.469 0.000 0.096 Ho
0.000 0.531 0.904 Ho
0.000 0.469 0.404 Ho
0.531 0.000 0.904 Ho
0.000 0.469 0.096 Ho
0.469 0.469 0.596 Ho
0.531 0.531 0.404 Ho
0.531 0.531 0.096 Ho
0.469 0.469 0.904 Ho
0.000 0.000 0.500 Nb
0.000 0.000 0.000 Nb
0.726 0.000 0.750 Nb
0.274 0.000 0.250 Nb
0.000 0.726 0.750 Nb
0.000 0.274 0.250 Nb
0.274 0.274 0.750 Nb
0.726 0.726 0.250 Nb
0.153 0.597 0.750 Al
0.847 0.403 0.250 Al
0.403 0.556 0.750 Al
0.597 0.153 0.750 Al
0.597 0.444 0.250 Al
0.403 0.847 0.250 Al
0.444 0.847 0.750 Al
0.556 0.403 0.750 Al
0.556 0.153 0.250 Al
0.444 0.597 0.250 Al
0.847 0.444 0.750 Al
0.153 0.556 0.250 Al
0.159 0.000 0.115 Al
0.841 0.000 0.885 Al
0.000 0.159 0.115 Al
0.841 0.000 0.615 Al
0.000 0.159 0.385 Al
0.000 0.841 0.885 Al
0.159 0.000 0.385 Al
0.000 0.841 0.615 Al
0.841 0.841 0.115 Al
0.159 0.159 0.885 Al
0.159 0.159 0.615 Al
0.841 0.841 0.385 Al
0.247 0.495 0.500 Al
0.753 0.505 0.500 Al
0.505 0.753 0.500 Al
0.753 0.505 0.000 Al
0.495 0.247 0.000 Al
0.495 0.247 0.500 Al
0.247 0.495 0.000 Al
0.505 0.753 0.000 Al
0.247 0.753 0.500 Al
0.753 0.247 0.500 Al
0.753 0.247 0.000 Al
0.247 0.753 0.000 Al
0.148 0.000 0.750 Al
0.852 0.000 0.250 Al
0.000 0.148 0.750 Al
0.000 0.852 0.250 Al
0.852 0.852 0.750 Al
0.148 0.148 0.250 Al
0.333 0.667 0.625 Al
0.667 0.333 0.375 Al
0.667 0.333 0.125 Al
0.667 0.333 0.875 Al
0.333 0.667 0.875 Al
0.333 0.667 0.125 Al
0.333 0.667 0.375 Al
0.667 0.333 0.625 Al
0.256 0.000 0.530 Al
0.744 0.000 0.470 Al
0.000 0.256 0.530 Al
0.744 0.000 0.030 Al
0.000 0.256 0.970 Al
0.000 0.744 0.470 Al
0.256 0.000 0.970 Al
0.000 0.744 0.030 Al
0.744 0.744 0.530 Al
0.256 0.256 0.470 Al
0.256 0.256 0.030 Al
0.744 0.744 0.970 Al
0.158 0.395 0.662 Al
0.842 0.605 0.338 Al
0.605 0.763 0.662 Al
0.842 0.605 0.162 Al
0.395 0.158 0.838 Al
0.395 0.237 0.338 Al
0.158 0.395 0.838 Al
0.605 0.842 0.162 Al
0.237 0.842 0.662 Al
0.395 0.237 0.162 Al
0.763 0.605 0.838 Al
0.763 0.158 0.338 Al
0.605 0.763 0.838 Al
0.237 0.395 0.162 Al
0.605 0.842 0.338 Al
0.395 0.158 0.662 Al
0.763 0.158 0.162 Al
0.237 0.395 0.338 Al
0.237 0.842 0.838 Al
0.763 0.605 0.662 Al
0.842 0.237 0.838 Al
0.158 0.763 0.162 Al
0.158 0.763 0.338 Al
0.842 0.237 0.662 Al

meta-GGA r2SCAN NaBrF4, optimized geometry; space-group type = No. 140; formation enthalpy at 0 K = -9.98 eV/f.u.; raw total energy = -6.55 eV per atom
1.0
5.686 0.000 0.000
0.000 5.686 0.000
-2.843 -2.843 5.161
Na Br F
2 2 8
Direct
0.250 0.250 0.500 Na
0.750 0.750 0.500 Na
0.000 0.500 0.000 Br
0.500 0.000 0.000 Br
0.300 0.800 0.266 F
0.700 0.200 0.734 F
0.966 0.466 0.266 F
0.466 0.300 0.266 F
0.200 0.034 0.734 F
0.034 0.534 0.734 F
0.534 0.700 0.734 F
0.800 0.966 0.266 F